Computed, not measured: Na4Ca2Nb2Si3S3O24 after structural relaxation at the PBE level of DFT.

Properties
Calculated formation energy   -2586 meV per atom
Spin magnetization   0.00 μB/f.u.
DFT total energy   -6.81 eV per atom

CIF file:
```
data_Na4Ca2Nb2Si3S3O24
_chemical_formula_sum 'Na12 Ca6 Nb6 Si9 S9 O72'
_space_group_name_H-M_alt 'P 1'
_space_group_IT_number 1
_cell_length_a 9.1876
_cell_length_b 9.2194
_cell_length_c 23.1152
_cell_angle_alpha 89.76
_cell_angle_beta 89.94
_cell_angle_gamma 60.15
loop_
_space_group_symop_operation_xyz
'x,y,z'
loop_
_atom_site_label
_atom_site_type_symbol
_atom_site_fract_x
_atom_site_fract_y
_atom_site_fract_z
Na1 Na 0.0000 0.0000 0.0000
Na2 Na 0.0011 0.3534 0.9087
Na3 Na 0.3127 0.6541 0.0624
Na4 Na 0.3153 0.9866 0.4846
Na5 Na 0.3360 0.6602 0.5605
Na6 Na 0.3454 0.3232 0.6499
Na7 Na 0.6165 0.0204 0.7381
Na8 Na 0.6298 0.3300 0.1530
Na9 Na 0.6684 0.9987 0.2276
Na10 Na 0.6758 0.6730 0.3129
Na11 Na 0.9767 0.6605 0.8306
Na12 Na 0.9955 0.3331 0.3970
Ca1 Ca 0.3129 0.6750 0.4249
Ca2 Ca 0.3246 0.6708 0.9267
Ca3 Ca 0.6441 0.0095 0.0934
Ca4 Ca 0.6496 0.0108 0.5930
Ca5 Ca 0.9816 0.3414 0.7597
Ca6 Ca 0.9898 0.3443 0.2590
Nb1 Nb 0.3048 0.7094 0.2174
Nb2 Nb 0.3223 0.6786 0.7214
Nb3 Nb 0.6304 0.0124 0.3897
Nb4 Nb 0.6408 0.0334 0.8954
Nb5 Nb 0.9571 0.3669 0.0570
Nb6 Nb 0.9932 0.3374 0.5491
Si1 Si 0.2740 0.0484 0.6589
Si2 Si 0.3104 0.9840 0.3293
Si3 Si 0.3203 0.3792 0.8246
Si4 Si 0.3527 0.3133 0.4962
Si5 Si 0.6504 0.3225 0.9990
Si6 Si 0.6537 0.7116 0.4937
Si7 Si 0.6764 0.6506 0.1653
Si8 Si 0.9390 0.7178 0.9906
Si9 Si 0.9784 0.0630 0.1569
S1 S 0.0086 0.6997 0.3234
S2 S 0.0138 0.9692 0.8241
S3 S 0.2657 0.3671 0.1568
S4 S 0.3416 0.0325 0.9890
S5 S 0.6040 0.3791 0.3236
S6 S 0.6037 0.6979 0.8216
S7 S 0.6776 0.3630 0.6578
S8 S 0.9348 0.0282 0.4907
S9 S 0.9933 0.6355 0.6584
O1 O 0.0125 0.1537 0.0970
O2 O 0.0133 0.5207 0.6082
O3 O 0.1019 0.6791 0.3762
O4 O 0.1034 0.7080 0.2710
O5 O 0.1061 0.9027 0.8777
O6 O 0.1099 0.8944 0.4847
O7 O 0.1140 0.8530 0.7735
O8 O 0.1158 0.7123 0.9831
O9 O 0.1476 0.1507 0.5987
O10 O 0.1523 0.3662 0.8193
O11 O 0.1579 0.3850 0.1043
O12 O 0.1576 0.8697 0.1657
O13 O 0.1628 0.6320 0.6609
O14 O 0.1677 0.3031 0.4974
O15 O 0.1689 0.1734 0.3248
O16 O 0.1769 0.1690 0.7103
O17 O 0.1793 0.1935 0.9882
O18 O 0.1939 0.3472 0.2097
O19 O 0.2764 0.5268 0.1597
O20 O 0.2827 0.8606 0.6690
O21 O 0.2887 0.5066 0.8745
O22 O 0.2966 0.5028 0.4867
O23 O 0.3101 0.8948 0.9779
O24 O 0.3123 0.8929 0.3874
O25 O 0.3358 0.8491 0.2714
O26 O 0.3425 0.4880 0.7642
O27 O 0.4355 0.0072 0.0413
O28 O 0.4369 0.2271 0.1500
O29 O 0.4406 0.2382 0.5560
O30 O 0.4434 0.0456 0.9364
O31 O 0.4593 0.0253 0.6564
O32 O 0.4604 0.1735 0.4396
O33 O 0.4924 0.6910 0.4859
O34 O 0.4935 0.7069 0.7684
O35 O 0.4949 0.6367 0.1678
O36 O 0.4979 0.1913 0.8317
O37 O 0.5011 0.5252 0.6600
O38 O 0.5035 0.9797 0.3308
O39 O 0.5035 0.4561 0.2694
O40 O 0.5118 0.5108 0.9885
O41 O 0.5186 0.4808 0.3739
O42 O 0.5249 0.6842 0.8735
O43 O 0.6143 0.8542 0.8197
O44 O 0.6221 0.8407 0.1562
O45 O 0.6242 0.2062 0.3304
O46 O 0.6273 0.8331 0.5448
O47 O 0.6313 0.2392 0.0557
O48 O 0.6460 0.2219 0.6541
O49 O 0.6724 0.1815 0.9406
O50 O 0.6789 0.8167 0.4322
O51 O 0.7625 0.3556 0.7114
O52 O 0.7630 0.3804 0.6056
O53 O 0.7703 0.5694 0.2240
O54 O 0.7714 0.3658 0.3209
O55 O 0.7729 0.5534 0.8149
O56 O 0.7855 0.5138 0.1072
O57 O 0.8103 0.8209 0.9279
O58 O 0.8202 0.0355 0.1531
O59 O 0.8303 0.0470 0.4389
O60 O 0.8303 0.5265 0.5028
O61 O 0.8411 0.8628 0.3254
O62 O 0.8421 0.8376 0.0421
O63 O 0.8430 0.3064 0.9968
O64 O 0.8501 0.9638 0.8250
O65 O 0.8612 0.8075 0.6499
O66 O 0.8638 0.0116 0.5445
O67 O 0.9405 0.1946 0.4936
O68 O 0.9563 0.5284 0.9983
O69 O 0.9626 0.1694 0.2118
O70 O 0.9678 0.5697 0.7127
O71 O 0.9709 0.5623 0.3187
O72 O 0.9748 0.1408 0.8151
```